1.
CsIn5S8 | the Materials Project | GGA-PBE | optimized geometry; raw total energy = -4.066 eV/atom; calculated volume = 25.18 Å³ per atom
1.0
9.6766 -1.9667 0.0000
9.6766 1.9667 0.0000
-1.9461 0.0000 9.2630
Cs In S
1 5 8
Direct
0.0000 0.0000 0.0000
0.1502 0.1502 0.4308
0.2103 0.2103 0.8399
0.5000 0.5000 0.5000
0.7897 0.7897 0.1601
0.8498 0.8498 0.5692
0.0821 0.0821 0.6353
0.2646 0.2646 0.3476
0.3329 0.3329 0.0177
0.4218 0.4218 0.6962
0.5782 0.5782 0.3038
0.6671 0.6671 0.9823
0.7354 0.7354 0.6524
0.9179 0.9179 0.3647

2.
Ce3Cl | the Materials Project | GGA-PBE | optimized geometry; raw total energy = -5.152 eV/atom; spin magnetization = 0.4 μB/f.u.; calculated volume = 22.59 Å³ per atom
1.0
4.4877 0.0000 0.0000
0.0000 4.4877 0.0000
0.0000 0.0000 4.4877
Ce Cl
3 1
Direct
0.0000 0.0000 0.5000
0.0000 0.5000 0.0000
0.5000 0.0000 0.0000
0.5000 0.5000 0.5000

3.
Li5AlO4 | the Materials Project | GGA-PBE | optimized geometry; calculated volume = 9.56 Å³ per atom; energy above the lowest structure with this stoichiometry = 0 meV/atom
1.0
9.0444 0.0000 0.0000
0.0000 9.2131 0.0000
0.0000 0.0000 9.1755
Li Al O
40 8 32
Direct
0.0983 0.1445 0.1264
0.0983 0.3555 0.6264
0.1025 0.6592 0.8815
0.1025 0.8408 0.3815
0.1320 0.6209 0.1471
0.1320 0.8791 0.6471
0.1389 0.1018 0.3850
0.1389 0.3982 0.8850
0.1667 0.6190 0.6060
0.1667 0.8810 0.1060
0.3333 0.1190 0.6060
0.3333 0.3810 0.1060
0.3611 0.6018 0.3850
0.3611 0.8982 0.8850
0.3680 0.1209 0.1471
0.3680 0.3791 0.6471
0.3975 0.1592 0.8815
0.3975 0.3408 0.3815
0.4017 0.6445 0.1264
0.4017 0.8555 0.6264
0.5983 0.1445 0.3736
0.5983 0.3555 0.8736
0.6025 0.6592 0.6185
0.6025 0.8408 0.1185
0.6320 0.6209 0.3529
0.6320 0.8791 0.8529
0.6389 0.1018 0.1150
0.6389 0.3982 0.6150
0.6667 0.6190 0.8940
0.6667 0.8810 0.3940
0.8333 0.1190 0.8940
0.8333 0.3810 0.3940
0.8611 0.6018 0.1150
0.8611 0.8982 0.6150
0.8680 0.1209 0.3529
0.8680 0.3791 0.8529
0.8975 0.1592 0.6185
0.8975 0.3408 0.1185
0.9017 0.6445 0.3736
0.9017 0.8555 0.8736
0.1160 0.1235 0.8558
0.1160 0.3765 0.3558
0.3840 0.6235 0.8558
0.3840 0.8765 0.3558
0.6160 0.1235 0.6442
0.6160 0.3765 0.1442
0.8840 0.6235 0.6442
0.8840 0.8765 0.1442
0.0008 0.2426 0.9623
0.0008 0.2574 0.4623
0.0053 0.5110 0.7468
0.0053 0.9890 0.2468
0.2313 0.2425 0.7519
0.2313 0.2575 0.2519
0.2380 0.0386 0.9846
0.2380 0.4614 0.4846
0.2620 0.5386 0.9846
0.2620 0.9614 0.4846
0.2687 0.7425 0.7519
0.2687 0.7575 0.2519
0.4947 0.0110 0.7468
0.4947 0.4890 0.2468
0.4992 0.7426 0.9623
0.4992 0.7574 0.4623
0.5008 0.2426 0.5377
0.5008 0.2574 0.0377
0.5053 0.5110 0.7532
0.5053 0.9890 0.2532
0.7313 0.2425 0.7481
0.7313 0.2575 0.2481
0.7380 0.0386 0.5154
0.7380 0.4614 0.0154
0.7620 0.5386 0.5154
0.7620 0.9614 0.0154
0.7687 0.7425 0.7481
0.7687 0.7575 0.2481
0.9947 0.0110 0.7532
0.9947 0.4890 0.2532
0.9992 0.7426 0.5377
0.9992 0.7574 0.0377